{
  "formula": "K2Cd2S3O12",
  "functional": "PBE",
  "state": "optimized geometry",
  "sg": "P2_13 (198)",
  "rho_g_cm3": 3.41,
  "total_magnetization_mub_per_cell": 0.0,
  "ef_ev_per_atom": -2.00,
  "final_energy_ev_per_atom": -5.5630,
  "lattice_angstrom": [[-0.1064, 9.5763, 4.2589], [0.2253, -4.2560, 9.5755], [10.4782, 0.1887, -0.1627]],
  "species": ["K", "K", "K", "K", "K", "K", "K", "K", "Cd", "Cd", "Cd", "Cd", "Cd", "Cd", "Cd", "Cd", "S", "S", "S", "S", "S", "S", "S", "S", "S", "S", "S", "S", "O", "O", "O", "O", "O", "O", "O", "O", "O", "O", "O", "O", "O", "O", "O", "O", "O", "O", "O", "O", "O", "O", "O", "O", "O", "O", "O", "O", "O", "O", "O", "O", "O", "O", "O", "O", "O", "O", "O", "O", "O", "O", "O", "O", "O", "O", "O", "O"],
  "frac_coords": [[0.6884, 0.1884, 0.3116], [0.3116, 0.6884, 0.1884], [0.9459, 0.5541, 0.4459], [0.8116, 0.8116, 0.8116], [0.0541, 0.0541, 0.0541], [0.4459, 0.9459, 0.5541], [0.5541, 0.4459, 0.9459], [0.1884, 0.3116, 0.6884], [0.3267, 0.3267, 0.3267], [0.1733, 0.6733, 0.8267], [0.8267, 0.1733, 0.6733], [0.6733, 0.8267, 0.1733], [0.4176, 0.0824, 0.9176], [0.0824, 0.9176, 0.4176], [0.5824, 0.5824, 0.5824], [0.9176, 0.4176, 0.0824], [0.2695, 0.6249, 0.5104], [0.7695, 0.8751, 0.4896], [0.7305, 0.1249, 0.9896], [0.8751, 0.4896, 0.7695], [0.9896, 0.7305, 0.1249], [0.4896, 0.7695, 0.8751], [0.6249, 0.5104, 0.2695], [0.5104, 0.2695, 0.6249], [0.1249, 0.9896, 0.7305], [0.2305, 0.3751, 0.0104], [0.0104, 0.2305, 0.3751], [0.3751, 0.0104, 0.2305], [0.5833, 0.7634, 0.9811], [0.0833, 0.7366, 0.0189], [0.4167, 0.2634, 0.5189], [0.7366, 0.0189, 0.0833], [0.5189, 0.4167, 0.2634], [0.0189, 0.0833, 0.7366], [0.7634, 0.9811, 0.5833], [0.9811, 0.5833, 0.7634], [0.2634, 0.5189, 0.4167], [0.2366, 0.4811, 0.9167], [0.4811, 0.9167, 0.2366], [0.9167, 0.2366, 0.4811], [0.0746, 0.8598, 0.7617], [0.5746, 0.6402, 0.2383], [0.9254, 0.3598, 0.7383], [0.6402, 0.2383, 0.5746], [0.7383, 0.9254, 0.3598], [0.2383, 0.5746, 0.6402], [0.6745, 0.7780, 0.5289], [0.8598, 0.7617, 0.0746], [0.3598, 0.7383, 0.9254], [0.1402, 0.2617, 0.4254], [0.2617, 0.4254, 0.1402], [0.4254, 0.1402, 0.2617], [0.2220, 0.0289, 0.8255], [0.7220, 0.4711, 0.1745], [0.7780, 0.5289, 0.6745], [0.4711, 0.1745, 0.7220], [0.0999, 0.3167, 0.0103], [0.0103, 0.0999, 0.3167], [0.3167, 0.0103, 0.0999], [0.1833, 0.9897, 0.5999], [0.5103, 0.4001, 0.6833], [0.6833, 0.5103, 0.4001], [0.4897, 0.9001, 0.8167], [0.9897, 0.5999, 0.1833], [0.8167, 0.4897, 0.9001], [0.5999, 0.1833, 0.9897], [0.9001, 0.8167, 0.4897], [0.4001, 0.6833, 0.5103], [0.2780, 0.9711, 0.3255], [0.3255, 0.2780, 0.9711], [0.9711, 0.3255, 0.2780], [0.5289, 0.6745, 0.7780], [0.8255, 0.2220, 0.0289], [0.0289, 0.8255, 0.2220], [0.1745, 0.7220, 0.4711], [0.7617, 0.0746, 0.8598]]
}



{
  "formula": "K2Cd3S3O16",
  "functional": "PBE",
  "state": "optimized geometry",
  "sg": "Cmc2_1 (36)",
  "rho_g_cm3": 3.33,
  "total_magnetization_mub_per_cell": 12.0,
  "ef_ev_per_atom": -1.46,
  "final_energy_ev_per_atom": -5.0235,
  "lattice_angstrom": [[0.0000, 8.2933, 0.0000], [0.0000, 0.0000, 9.6826], [9.5223, -4.1467, 0.0000]],
  "species": ["K", "K", "K", "K", "Cd", "Cd", "Cd", "Cd", "Cd", "Cd", "S", "S", "S", "S", "S", "S", "O", "O", "O", "O", "O", "O", "O", "O", "O", "O", "O", "O", "O", "O", "O", "O", "O", "O", "O", "O", "O", "O", "O", "O", "O", "O", "O", "O", "O", "O", "O", "O"],
  "frac_coords": [[0.7364, 0.5542, 0.3835], [0.3529, 0.5542, 0.6165], [0.2636, 0.0542, 0.6165], [0.6471, 0.0542, 0.3835], [0.1160, 0.4914, 0.1765], [0.9394, 0.4914, 0.8235], [0.8840, 0.9914, 0.8235], [0.0606, 0.9914, 0.1765], [0.3153, 0.7764, 0.0000], [0.6847, 0.2764, 0.0000], [0.0270, 0.7719, 0.6419], [0.3850, 0.7719, 0.3581], [0.9730, 0.2719, 0.3581], [0.6150, 0.2719, 0.6419], [0.6887, 0.6196, 0.0000], [0.3113, 0.1196, 0.0000], [0.2115, 0.7672, 0.7503], [0.4612, 0.7672, 0.2497], [0.7885, 0.2672, 0.2497], [0.5388, 0.2672, 0.7503], [0.9500, 0.9125, 0.6396], [0.3104, 0.9125, 0.3604], [0.0500, 0.4125, 0.3604], [0.6896, 0.4125, 0.6396], [0.0290, 0.7432, 0.5027], [0.5263, 0.7432, 0.4973], [0.9710, 0.2432, 0.4973], [0.4737, 0.2432, 0.5027], [0.9146, 0.6674, 0.6728], [0.2418, 0.6674, 0.3272], [0.0854, 0.1674, 0.3272], [0.7582, 0.1674, 0.6728], [0.5879, 0.7463, 0.0000], [0.4121, 0.2463, 0.0000], [0.5800, 0.4969, 0.0000], [0.4200, 0.9969, 0.0000], [0.8551, 0.6211, 0.1293], [0.7258, 0.6211, 0.8707], [0.1449, 0.1211, 0.8707], [0.2742, 0.1211, 0.1293], [0.8788, 0.9052, 0.2772], [0.6016, 0.9052, 0.7228], [0.1212, 0.4052, 0.7228], [0.3984, 0.4052, 0.2772], [0.1768, 0.5771, 0.0000], [0.8232, 0.0771, 0.0000], [0.9380, 0.3610, 0.0000], [0.0620, 0.8610, 0.0000]]
}